No. 1
Na2Ge2S5 | PBE | optimized geometry Values from VASP.

As for the energy: -4.30 eV per atom.

```
&SYSTEM
  ibrav = 0, nat = 36, ntyp = 3
/
ATOMIC_SPECIES
Na 22.99 Na.upf
Ge 72.64 Ge.upf
S 32.06 S.upf
CELL_PARAMETERS angstrom
6.481 -6.593 0.000
6.481 6.593 0.000
0.000 0.000 10.717
ATOMIC_POSITIONS angstrom
Na 4.349 3.216 8.038
Na 1.907 0.000 0.000
Na 1.907 0.000 5.359
Na 8.614 3.216 8.038
Na 4.349 -3.216 2.679
Na 11.056 0.000 0.000
Na 11.056 0.000 5.359
Na 8.614 -3.216 2.679
Ge 6.481 3.228 0.873
Ge 6.481 3.228 4.485
Ge 4.679 0.634 2.679
Ge 4.679 -0.634 8.038
Ge 8.284 0.634 2.679
Ge 8.284 -0.634 8.038
Ge 6.481 -3.228 6.232
Ge 6.481 -3.228 9.844
S 6.481 4.565 2.679
S 6.481 4.499 6.243
S 6.481 4.499 9.832
S 2.916 0.605 8.038
S 4.595 1.969 0.846
S 4.595 1.969 4.512
S 2.916 -0.605 2.679
S 6.481 0.698 8.038
S 8.368 1.969 0.846
S 8.368 1.969 4.512
S 4.595 -1.969 6.205
S 4.595 -1.969 9.871
S 6.481 -0.698 2.679
S 10.047 0.605 8.038
S 8.368 -1.969 6.205
S 8.368 -1.969 9.871
S 10.047 -0.605 2.679
S 6.481 -4.499 0.885
S 6.481 -4.499 4.474
S 6.481 -4.565 8.038
```

=====

No. 2
SiGeO3 | PBE | optimized geometry Values from VASP.

As for the energy: -7.04 eV per atom.

```
&SYSTEM
  ibrav = 0, nat = 80, ntyp = 3
/
ATOMIC_SPECIES
Si 28.09 Si.upf
Ge 72.64 Ge.upf
O 16.00 O.upf
CELL_PARAMETERS angstrom
5.421 0.000 0.000
0.000 20.062 0.000
0.000 0.000 9.432
ATOMIC_POSITIONS angstrom
Si 0.082 4.969 1.425
Si 0.082 5.062 6.141
Si 1.271 0.058 1.419
Si 1.271 9.973 6.135
Si 1.440 10.088 1.419
Si 1.440 20.004 6.135
Si 2.628 15.000 1.425
Si 2.628 15.093 6.141
Si 2.793 4.969 3.291
Si 2.793 5.062 8.008
Si 3.981 0.058 3.298
Si 3.981 9.973 8.014
Si 4.150 10.088 3.298
Si 4.150 20.004 8.014
Si 5.338 15.000 3.291
Si 5.338 15.093 8.008
Ge 0.700 2.516 8.507
Ge 0.700 7.515 3.791
Ge 0.721 2.503 3.918
Ge 0.721 7.527 8.635
Ge 1.989 12.534 3.918
Ge 1.989 17.558 8.635
Ge 2.010 12.546 8.507
Ge 2.010 17.546 3.791
Ge 3.411 2.516 5.642
Ge 3.411 7.515 0.926
Ge 3.432 2.503 0.798
Ge 3.432 7.527 5.514
Ge 4.700 12.534 0.798
Ge 4.700 17.558 5.514
Ge 4.720 12.546 5.642
Ge 4.720 17.546 0.926
O 0.084 13.710 8.871
O 0.084 16.382 4.155
O 0.107 13.671 4.234
O 0.107 16.422 8.950
O 0.158 10.142 2.466
O 0.158 19.951 7.182
O 1.171 11.390 5.313
O 1.171 18.702 0.596
O 1.188 14.959 2.226
O 1.188 15.134 6.942
O 1.199 11.369 0.427
O 1.199 18.723 5.143
O 1.512 1.338 0.427
O 1.512 8.692 5.143
O 1.523 4.928 2.226
O 1.523 5.103 6.942
O 1.540 1.359 5.313
O 1.540 8.671 0.596
O 2.553 0.111 2.466
O 2.553 9.920 7.182
O 2.603 3.640 4.234
O 2.603 6.391 8.950
O 2.627 3.679 8.871
O 2.627 6.351 4.155
O 2.794 13.710 5.278
O 2.794 16.382 0.562
O 2.818 13.671 0.482
O 2.818 16.422 5.198
O 2.868 10.142 2.250
O 2.868 19.951 6.966
O 3.881 11.390 8.836
O 3.881 18.702 4.120
O 3.898 14.959 2.490
O 3.898 15.134 7.206
O 3.909 11.369 4.289
O 3.909 18.723 9.006
O 4.222 1.338 4.289
O 4.222 8.692 9.006
O 4.233 4.928 2.490
O 4.233 5.103 7.206
O 4.250 1.359 8.836
O 4.250 8.671 4.120
O 5.263 0.111 2.250
O 5.263 9.920 6.966
O 5.314 3.640 0.482
O 5.314 6.391 5.198
O 5.337 3.679 5.278
O 5.337 6.351 0.562
```

=====

No. 3
RbMg3O4 | PBE | optimized geometry Values from VASP.

As for the energy: -4.81 eV per atom.

```
&SYSTEM
  ibrav = 0, nat = 8, ntyp = 3
/
ATOMIC_SPECIES
Rb 85.47 Rb.upf
Mg 24.30 Mg.upf
O 16.00 O.upf
CELL_PARAMETERS angstrom
4.652 0.000 0.000
0.000 4.652 0.000
0.000 0.000 4.652
ATOMIC_POSITIONS angstrom
Rb 0.000 0.000 0.000
Mg 0.000 2.326 2.326
Mg 2.326 0.000 2.326
Mg 2.326 2.326 0.000
O 0.000 0.000 2.326
O 0.000 2.326 0.000
O 2.326 0.000 0.000
O 2.326 2.326 2.326
```

=====

No. 4
Y4C7 | PBE | optimized geometry Values from VASP.

Its offset from the most stable computed form is 0.036 eV/f.u.

```
&SYSTEM
  ibrav = 0, nat = 22, ntyp = 2
/
ATOMIC_SPECIES
Y 88.91 Y.upf
C 12.01 C.upf
CELL_PARAMETERS angstrom
3.723 0.000 0.000
0.000 13.774 0.000
-1.650 0.000 6.273
ATOMIC_POSITIONS angstrom
Y -0.056 2.239 1.005
Y -0.881 4.648 4.142
Y 0.144 0.759 4.636
Y 0.969 6.128 1.499
Y 1.103 7.646 4.774
Y 1.928 13.015 1.637
Y 2.953 9.126 2.131
Y 2.128 11.535 5.268
C 0.000 0.000 0.000
C -0.825 6.887 3.137
C 0.912 8.328 0.317
C 0.087 12.333 3.453
C 1.331 9.595 0.296
C 0.506 11.066 3.432
C 0.223 2.972 5.794
C 1.048 3.915 2.657
C 1.025 9.859 3.617
C 1.850 10.802 0.480
C 1.567 2.708 2.841
C 0.741 4.179 5.978
C 1.985 1.441 2.820
C 1.160 5.446 5.957
```

=====

No. 5
Sn2S3O12 | PBE | optimized geometry Values from VASP.

Its offset from the most stable computed form is 0.727 eV/f.u.

```
&SYSTEM
  ibrav = 0, nat = 136, ntyp = 3
/
ATOMIC_SPECIES
Sn 118.71 Sn.upf
S 32.06 S.upf
O 16.00 O.upf
CELL_PARAMETERS angstrom
8.721 0.000 0.000
0.000 26.219 0.000
0.000 0.000 8.849
ATOMIC_POSITIONS angstrom
Sn 1.045 1.680 0.247
Sn 1.045 11.430 4.672
Sn 1.856 4.727 4.463
Sn 1.856 8.383 0.039
Sn 2.504 17.837 4.463
Sn 2.504 21.493 0.039
Sn 3.316 14.789 0.247
Sn 3.316 24.540 4.672
Sn 5.406 1.680 4.177
Sn 5.406 11.430 8.602
Sn 6.217 4.727 8.810
Sn 6.217 8.383 4.386
Sn 6.865 17.837 8.810
Sn 6.865 21.493 4.386
Sn 7.676 14.789 4.177
Sn 7.676 24.540 8.602
S 0.653 5.380 1.290
S 0.653 7.730 5.714
S 0.721 16.482 7.110
S 0.721 22.847 2.686
S 1.962 1.558 3.500
S 1.962 11.552 7.925
S 2.398 14.667 3.500
S 2.398 24.662 7.925
S 3.639 3.373 7.110
S 3.639 9.737 2.686
S 3.708 18.489 1.290
S 3.708 20.840 5.714
S 5.014 5.380 3.135
S 5.014 7.730 7.559
S 5.082 16.482 6.163
S 5.082 22.847 1.739
S 6.323 1.558 0.924
S 6.323 11.552 5.349
S 6.759 14.667 0.924
S 6.759 24.662 5.349
S 8.000 3.373 6.163
S 8.000 9.737 1.739
S 8.068 18.489 3.135
S 8.068 20.840 7.559
O 0.055 17.382 8.148
O 0.055 21.947 3.724
O 0.270 2.707 6.977
O 0.270 10.403 2.553
O 0.550 1.622 3.751
O 0.550 11.488 8.175
O 0.665 5.408 2.798
O 0.665 7.702 7.223
O 0.758 18.803 3.560
O 0.758 20.526 7.984
O 1.155 4.131 0.761
O 1.155 8.978 5.186
O 1.548 17.489 6.306
O 1.548 21.840 1.882
O 1.560 6.487 0.826
O 1.560 6.622 5.250
O 1.586 15.540 7.808
O 1.586 23.790 3.384
O 1.618 13.837 4.454
O 1.618 25.493 0.030
O 1.765 16.134 3.654
O 1.765 23.195 8.079
O 2.004 14.296 2.122
O 2.004 25.033 6.546
O 2.356 1.186 2.122
O 2.356 11.924 6.546
O 2.596 3.024 3.654
O 2.596 10.085 8.079
O 2.742 0.727 4.454
O 2.742 12.383 0.030
O 2.775 2.430 7.808
O 2.775 10.680 3.384
O 2.801 19.597 0.826
O 2.801 19.732 5.250
O 2.813 4.379 6.306
O 2.813 8.730 1.882
O 3.206 17.241 0.761
O 3.206 22.088 5.186
O 3.603 5.694 3.560
O 3.603 7.416 7.984
O 3.696 18.518 2.798
O 3.696 20.811 7.223
O 3.811 14.731 3.751
O 3.811 24.598 8.175
O 4.090 15.816 6.977
O 4.090 23.513 2.553
O 4.305 4.273 8.148
O 4.305 8.837 3.724
O 4.416 17.382 5.125
O 4.416 21.947 0.701
O 4.631 2.707 6.296
O 4.631 10.403 1.872
O 4.910 1.622 0.673
O 4.910 11.488 5.098
O 5.025 5.408 1.626
O 5.025 7.702 6.051
O 5.119 18.803 0.864
O 5.119 20.526 5.289
O 5.515 4.131 3.663
O 5.515 8.978 8.088
O 5.908 17.489 6.967
O 5.908 21.840 2.542
O 5.921 6.487 3.598
O 5.921 6.622 8.023
O 5.946 15.540 5.465
O 5.946 23.790 1.041
O 5.979 13.837 8.819
O 5.979 25.493 4.394
O 6.126 16.134 0.770
O 6.126 23.195 5.194
O 6.365 14.296 2.302
O 6.365 25.033 6.727
O 6.717 1.186 2.302
O 6.717 11.924 6.727
O 6.956 3.024 0.770
O 6.956 10.085 5.194
O 7.103 0.727 8.819
O 7.103 12.383 4.394
O 7.136 2.430 5.465
O 7.136 10.680 1.041
O 7.161 19.597 3.598
O 7.161 19.732 8.023
O 7.174 4.379 6.967
O 7.174 8.730 2.542
O 7.566 17.241 3.663
O 7.566 22.088 8.088
O 7.963 5.694 0.864
O 7.963 7.416 5.289
O 8.057 18.518 1.626
O 8.057 20.811 6.051
O 8.171 14.731 0.673
O 8.171 24.598 5.098
O 8.451 15.816 6.296
O 8.451 23.513 1.872
O 8.666 4.273 5.125
O 8.666 8.837 0.701
```

=====

No. 6
LaMg6Ti | PBE | optimized geometry Values from VASP.

Its offset from the most stable computed form is 0.000 eV/f.u.

```
&SYSTEM
  ibrav = 0, nat = 16, ntyp = 3
/
ATOMIC_SPECIES
La 138.91 La.upf
Mg 24.30 Mg.upf
Ti 47.87 Ti.upf
CELL_PARAMETERS angstrom
-3.727 -3.496 -0.777
2.775 -3.965 4.531
-6.320 4.920 8.176
ATOMIC_POSITIONS angstrom
La -1.550 -2.894 3.266
La -6.097 1.548 5.089
Mg 0.162 -0.562 1.754
Mg 1.595 -2.610 4.094
Mg -3.886 2.124 9.088
Mg -6.994 1.816 8.185
Mg -5.543 -0.257 10.555
Mg -4.672 -0.464 7.305
Mg -1.611 -0.084 8.107
Mg -2.952 1.833 5.916
Mg -2.114 1.646 2.735
Mg -2.447 -2.627 6.363
Mg -3.770 -0.735 4.202
Mg -2.900 -0.941 0.952
Ti -0.746 -0.322 5.025
Ti -5.293 4.121 6.847
```

=====

No. 7
Na6CoS4 | PBE | optimized geometry Values from VASP.

As for the energy: -3.78 eV per atom. For the piezoelectric modulus e_max, the calculation gives 0.5 C/m².

```
&SYSTEM
  ibrav = 0, nat = 22, ntyp = 3
/
ATOMIC_SPECIES
Na 22.99 Na.upf
Co 58.93 Co.upf
S 32.06 S.upf
CELL_PARAMETERS angstrom
8.914 0.000 0.000
-4.457 7.720 0.000
0.000 0.000 6.918
ATOMIC_POSITIONS angstrom
Na -1.814 4.099 0.000
Na 0.000 2.274 4.652
Na -2.488 6.583 4.652
Na 1.969 1.137 1.193
Na 1.814 4.099 0.000
Na 0.000 7.241 0.000
Na 4.457 0.478 3.459
Na 2.643 3.621 3.459
Na 2.488 6.583 4.652
Na 6.945 1.137 1.193
Na 4.457 5.446 1.193
Na 6.271 3.621 3.459
Co 0.000 5.146 2.664
Co 4.457 2.573 6.123
S 0.000 2.938 1.928
S -1.912 6.251 1.928
S 0.000 5.146 4.983
S 2.545 1.469 5.387
S 1.912 6.251 1.928
S 4.457 2.573 1.524
S 6.369 1.469 5.387
S 4.457 4.781 5.387
```

=====

No. 8
Pm2MgSe4 | PBE | optimized geometry Values from VASP.

Its offset from the most stable computed form is 0.000 eV/f.u.

```
&SYSTEM
  ibrav = 0, nat = 56, ntyp = 3
/
ATOMIC_SPECIES
Pm 145.00 Pm.upf
Mg 24.30 Mg.upf
Se 78.96 Se.upf
CELL_PARAMETERS angstrom
13.519 0.000 0.000
0.000 8.091 0.000
0.000 0.000 13.624
ATOMIC_POSITIONS angstrom
Pm 1.461 0.942 0.000
Pm 1.723 5.000 8.738
Pm 1.806 3.006 4.180
Pm 1.819 7.049 4.193
Pm 4.941 7.049 11.005
Pm 4.953 3.006 10.992
Pm 5.036 5.000 1.926
Pm 5.298 0.942 6.812
Pm 8.220 7.149 0.000
Pm 8.482 3.091 8.738
Pm 8.566 5.085 4.180
Pm 8.578 1.042 4.193
Pm 11.700 1.042 11.005
Pm 11.712 5.085 10.992
Pm 11.796 3.091 1.926
Pm 12.058 7.149 6.812
Mg 1.505 4.993 0.101
Mg 1.708 0.981 8.649
Mg 5.051 0.981 1.837
Mg 5.254 4.993 6.913
Mg 8.265 3.098 0.101
Mg 8.468 7.110 8.649
Mg 11.810 7.110 1.837
Mg 12.013 3.098 6.913
Se 0.145 0.968 2.648
Se 0.317 5.089 2.482
Se 0.418 5.014 6.044
Se 0.610 1.039 6.181
Se 2.837 0.978 11.082
Se 2.844 5.015 11.409
Se 3.115 2.973 1.269
Se 3.141 7.050 1.242
Se 3.618 7.050 8.054
Se 3.644 2.973 8.081
Se 3.922 0.978 4.270
Se 3.915 5.015 4.597
Se 6.149 1.039 12.993
Se 6.341 5.014 12.856
Se 6.443 5.089 9.294
Se 6.614 0.968 9.460
Se 6.904 7.123 2.648
Se 7.076 3.002 2.482
Se 7.177 3.077 6.044
Se 7.369 7.052 6.181
Se 9.604 3.076 11.409
Se 9.597 7.113 11.082
Se 9.875 5.118 1.269
Se 9.900 1.041 1.242
Se 10.378 1.041 8.054
Se 10.403 5.118 8.081
Se 10.674 3.076 4.597
Se 10.681 7.113 4.270
Se 12.909 7.052 12.993
Se 13.101 3.077 12.856
Se 13.202 3.002 9.294
Se 13.374 7.123 9.460
```